Density functional theory data (PBE) for a relaxed structure of Y2B6Rh9.

Results
* final energy: -7.650 eV per atom
* symmetry: No. 191
* ΔH_f (0 K): -0.633 eV per atom

Cell lengths 5.611, 5.611, 8.601 Å; angles 90.00, 90.00, 120.00 degrees
Fractional positions:
Y (0.000, 0.000, 0.206)
Y (0.000, 0.000, 0.794)
B (0.333, 0.667, 0.168)
B (0.333, 0.667, 0.500)
B (0.333, 0.667, 0.832)
B (0.667, 0.333, 0.168)
B (0.667, 0.333, 0.500)
B (0.667, 0.333, 0.832)
Rh (0.000, 0.500, 0.000)
Rh (0.000, 0.500, 0.336)
Rh (0.000, 0.500, 0.664)
Rh (0.500, 0.000, 0.000)
Rh (0.500, 0.000, 0.336)
Rh (0.500, 0.000, 0.664)
Rh (0.500, 0.500, 0.000)
Rh (0.500, 0.500, 0.336)
Rh (0.500, 0.500, 0.664)

Density functional theory data (PBE) for a relaxed structure of LaIn2Ni9.

Results
* final energy: -5.412 eV per atom
* symmetry: No. 127
* ΔH_f (0 K): -0.207 eV per atom

Cell lengths 8.306, 8.306, 4.861 Å; angles 90.00, 90.00, 90.00 degrees
Fractional positions:
La (0.000, 0.000, 0.000)
La (0.500, 0.500, 0.000)
In (0.123, 0.377, 0.000)
In (0.377, 0.877, 0.000)
In (0.623, 0.123, 0.000)
In (0.877, 0.623, 0.000)
Ni (0.000, 0.500, 0.500)
Ni (0.065, 0.209, 0.500)
Ni (0.176, 0.676, 0.249)
Ni (0.176, 0.676, 0.751)
Ni (0.209, 0.935, 0.500)
Ni (0.291, 0.435, 0.500)
Ni (0.324, 0.176, 0.249)
Ni (0.324, 0.176, 0.751)
Ni (0.435, 0.709, 0.500)
Ni (0.500, 0.000, 0.500)
Ni (0.565, 0.291, 0.500)
Ni (0.676, 0.824, 0.249)
Ni (0.676, 0.824, 0.751)
Ni (0.709, 0.565, 0.500)
Ni (0.791, 0.065, 0.500)
Ni (0.824, 0.324, 0.249)
Ni (0.824, 0.324, 0.751)
Ni (0.935, 0.791, 0.500)

Density functional theory data (PBE) for a relaxed structure of ZnIn2SnAs4.

Results
* final energy: -3.883 eV per atom
* symmetry: No. 121
* ΔH_f (0 K): -0.207 eV per atom

Cell lengths 6.083, 6.083, 12.097 Å; angles 90.00, 90.00, 90.00 degrees
Fractional positions:
Zn (0.000, 0.000, 0.000)
Zn (0.500, 0.500, 0.500)
In (0.000, 0.500, 0.250)
In (0.000, 0.500, 0.750)
In (0.500, 0.000, 0.250)
In (0.500, 0.000, 0.750)
Sn (0.000, 0.000, 0.500)
Sn (0.500, 0.500, 0.000)
As (0.239, 0.239, 0.881)
As (0.239, 0.761, 0.119)
As (0.261, 0.261, 0.381)
As (0.261, 0.739, 0.619)
As (0.739, 0.261, 0.619)
As (0.739, 0.739, 0.381)
As (0.761, 0.239, 0.119)
As (0.761, 0.761, 0.881)

Density functional theory data (PBE) for a relaxed structure of MgZr2H12O4F12.

Results
* final energy: -5.262 eV per atom
* symmetry: No. 5
* ΔH_f (0 K): -2.234 eV per atom

Cell lengths 7.578, 7.578, 6.917 Å; angles 100.78, 100.78, 123.00 degrees
Fractional positions:
Mg (0.000, 0.000, 0.000)
Zr (0.459, 0.541, 0.500)
Zr (0.532, 0.468, 0.000)
H (0.098, 0.721, 0.205)
H (0.133, 0.637, 0.594)
H (0.256, 0.004, 0.329)
H (0.279, 0.902, 0.795)
H (0.363, 0.867, 0.406)
H (0.616, 0.137, 0.139)
H (0.715, 0.119, 0.673)
H (0.726, 0.004, 0.212)
H (0.863, 0.384, 0.861)
H (0.881, 0.285, 0.327)
H (0.996, 0.274, 0.788)
H (0.996, 0.744, 0.671)
O (0.132, 0.746, 0.709)
O (0.254, 0.868, 0.291)
O (0.720, 0.136, 0.258)
O (0.864, 0.280, 0.742)
F (0.116, 0.478, 0.430)
F (0.147, 0.210, 0.861)
F (0.225, 0.181, 0.274)
F (0.387, 0.579, 0.194)
F (0.421, 0.613, 0.806)
F (0.462, 0.128, 0.964)
F (0.498, 0.333, 0.669)
F (0.522, 0.884, 0.570)
F (0.667, 0.502, 0.331)
F (0.790, 0.853, 0.139)
F (0.819, 0.775, 0.726)
F (0.872, 0.538, 0.036)

Density functional theory data (PBE) for a relaxed structure of K2TlHgCl6.

Results
* final energy: -2.745 eV per atom
* symmetry: No. 225
* ΔH_f (0 K): -1.516 eV per atom

Cell lengths 7.689, 7.689, 7.689 Å; angles 60.00, 60.00, 60.00 degrees
Fractional positions:
K (0.250, 0.250, 0.250)
K (0.750, 0.750, 0.750)
Tl (0.000, 0.000, 0.000)
Hg (0.500, 0.500, 0.500)
Cl (0.254, 0.254, 0.746)
Cl (0.254, 0.746, 0.254)
Cl (0.254, 0.746, 0.746)
Cl (0.746, 0.254, 0.254)
Cl (0.746, 0.254, 0.746)
Cl (0.746, 0.746, 0.254)

Density functional theory data (PBE) for a relaxed structure of CaMgSi2O6.

Results
* final energy: -7.267 eV per atom
* symmetry: No. 14
* ΔH_f (0 K): -3.265 eV per atom

Cell lengths 9.890, 8.359, 5.406 Å; angles 90.00, 90.68, 90.00 degrees
Fractional positions:
Ca (0.230, 0.052, 0.398)
Ca (0.230, 0.448, 0.898)
Ca (0.770, 0.552, 0.102)
Ca (0.770, 0.948, 0.602)
Mg (0.268, 0.666, 0.377)
Mg (0.268, 0.834, 0.877)
Mg (0.732, 0.166, 0.123)
Mg (0.732, 0.334, 0.623)
Si (0.003, 0.670, 0.534)
Si (0.003, 0.830, 0.034)
Si (0.462, 0.153, 0.771)
Si (0.462, 0.347, 0.271)
Si (0.538, 0.653, 0.729)
Si (0.538, 0.847, 0.229)
Si (0.997, 0.170, 0.966)
Si (0.997, 0.330, 0.466)
O (0.083, 0.229, 0.706)
O (0.083, 0.271, 0.206)
O (0.114, 0.509, 0.527)
O (0.114, 0.991, 0.027)
O (0.133, 0.692, 0.057)
O (0.133, 0.808, 0.557)
O (0.374, 0.647, 0.716)
O (0.374, 0.853, 0.216)
O (0.380, 0.507, 0.216)
O (0.380, 0.993, 0.716)
O (0.404, 0.229, 0.038)
O (0.404, 0.271, 0.538)
O (0.596, 0.729, 0.462)
O (0.596, 0.771, 0.962)
O (0.620, 0.007, 0.284)
O (0.620, 0.493, 0.784)
O (0.626, 0.147, 0.784)
O (0.626, 0.353, 0.284)
O (0.867, 0.192, 0.443)
O (0.867, 0.308, 0.943)
O (0.886, 0.009, 0.973)
O (0.886, 0.491, 0.473)
O (0.917, 0.729, 0.794)
O (0.917, 0.771, 0.294)

Density functional theory data (PBE) for a relaxed structure of HoAl3Ni2.

Results
* final energy: -5.217 eV per atom
* symmetry: No. 191
* ΔH_f (0 K): -0.654 eV per atom

Cell lengths 8.953, 8.953, 4.003 Å; angles 90.00, 90.00, 120.00 degrees
Fractional positions:
Ho (0.000, 0.000, 0.000)
Ho (0.333, 0.667, 0.500)
Ho (0.667, 0.333, 0.500)
Al (0.000, 0.298, 0.500)
Al (0.000, 0.500, 0.000)
Al (0.000, 0.702, 0.500)
Al (0.298, 0.000, 0.500)
Al (0.298, 0.298, 0.500)
Al (0.500, 0.000, 0.000)
Al (0.500, 0.500, 0.000)
Al (0.702, 0.000, 0.500)
Al (0.702, 0.702, 0.500)
Ni (0.181, 0.362, 0.000)
Ni (0.181, 0.819, 0.000)
Ni (0.362, 0.181, 0.000)
Ni (0.638, 0.819, 0.000)
Ni (0.819, 0.181, 0.000)
Ni (0.819, 0.638, 0.000)

Density functional theory data (PBE) for a relaxed structure of MgH2.

Results
* final energy: -2.930 eV per atom
* symmetry: No. 29
* ΔH_f (0 K): -0.254 eV per atom
* piezoelectric modulus e_max: 1.61 C/m²

Cell lengths 4.893, 4.650, 4.769 Å; angles 90.00, 90.00, 90.00 degrees
Fractional positions:
Mg (0.031, 0.234, 0.000)
Mg (0.469, 0.234, 0.500)
Mg (0.531, 0.766, 0.000)
Mg (0.969, 0.766, 0.500)
H (0.116, 0.401, 0.604)
H (0.241, 0.942, 0.778)
H (0.259, 0.942, 0.278)
H (0.384, 0.401, 0.104)
H (0.616, 0.599, 0.604)
H (0.741, 0.058, 0.778)
H (0.759, 0.058, 0.278)
H (0.884, 0.599, 0.104)

Density functional theory data (PBE) for a relaxed structure of KMg14C.

Results
* final energy: -1.660 eV per atom
* symmetry: No. 187
* ΔH_f (0 K): 0.386 eV per atom

Cell lengths 6.444, 6.444, 10.243 Å; angles 90.00, 90.00, 120.00 degrees
Fractional positions:
K (0.000, 0.000, 0.000)
Mg (0.013, 0.506, 0.000)
Mg (0.160, 0.321, 0.282)
Mg (0.160, 0.321, 0.718)
Mg (0.160, 0.840, 0.282)
Mg (0.160, 0.840, 0.718)
Mg (0.494, 0.506, 0.000)
Mg (0.494, 0.987, 0.000)
Mg (0.508, 0.016, 0.500)
Mg (0.508, 0.492, 0.500)
Mg (0.667, 0.333, 0.241)
Mg (0.667, 0.333, 0.759)
Mg (0.679, 0.840, 0.282)
Mg (0.679, 0.840, 0.718)
Mg (0.984, 0.492, 0.500)
C (0.000, 0.000, 0.500)

Density functional theory data (PBE) for a relaxed structure of Ba2Ta6Te2O21.

Results
* final energy: -8.584 eV per atom
* symmetry: No. 12
* ΔH_f (0 K): -3.076 eV per atom

Cell lengths 8.918, 8.918, 9.743 Å; angles 96.44, 96.44, 37.59 degrees
Fractional positions:
Ba (0.138, 0.138, 0.028)
Ba (0.862, 0.862, 0.972)
Ta (0.099, 0.099, 0.418)
Ta (0.324, 0.324, 0.328)
Ta (0.479, 0.479, 0.836)
Ta (0.521, 0.521, 0.164)
Ta (0.676, 0.676, 0.672)
Ta (0.901, 0.901, 0.582)
Te (0.274, 0.274, 0.747)
Te (0.726, 0.726, 0.253)
O (0.000, 0.000, 0.500)
O (0.023, 0.542, 0.170)
O (0.104, 0.606, 0.447)
O (0.176, 0.693, 0.720)
O (0.210, 0.210, 0.349)
O (0.279, 0.721, 0.000)
O (0.307, 0.824, 0.280)
O (0.358, 0.358, 0.896)
O (0.394, 0.896, 0.553)
O (0.419, 0.419, 0.222)
O (0.458, 0.977, 0.830)
O (0.542, 0.023, 0.170)
O (0.581, 0.581, 0.778)
O (0.606, 0.104, 0.447)
O (0.642, 0.642, 0.104)
O (0.693, 0.176, 0.720)
O (0.721, 0.279, 0.000)
O (0.790, 0.790, 0.651)
O (0.824, 0.307, 0.280)
O (0.896, 0.394, 0.553)
O (0.977, 0.458, 0.830)

Density functional theory data (PBE) for a relaxed structure of BaLiH3.

Results
* final energy: -3.305 eV per atom
* symmetry: No. 221
* ΔH_f (0 K): -0.611 eV per atom

Cell lengths 4.019, 4.019, 4.019 Å; angles 90.00, 90.00, 90.00 degrees
Fractional positions:
Ba (0.000, 0.000, 0.000)
Li (0.500, 0.500, 0.500)
H (0.000, 0.500, 0.500)
H (0.500, 0.000, 0.500)
H (0.500, 0.500, 0.000)

Density functional theory data (PBE) for a relaxed structure of Sc11Al2Ge8.

Results
* final energy: -6.247 eV per atom
* symmetry: No. 139
* ΔH_f (0 K): -0.812 eV per atom

Cell lengths 10.539, 10.539, 10.539 Å; angles 120.58, 120.58, 89.00 degrees
Fractional positions:
Sc (0.059, 0.310, 0.749)
Sc (0.103, 0.439, 0.336)
Sc (0.103, 0.767, 0.664)
Sc (0.169, 0.169, 0.000)
Sc (0.233, 0.897, 0.336)
Sc (0.310, 0.059, 0.749)
Sc (0.310, 0.562, 0.251)
Sc (0.328, 0.328, 0.657)
Sc (0.328, 0.672, 0.000)
Sc (0.438, 0.690, 0.749)
Sc (0.439, 0.103, 0.336)
Sc (0.561, 0.897, 0.664)
Sc (0.562, 0.310, 0.251)
Sc (0.672, 0.328, 0.000)
Sc (0.672, 0.672, 0.343)
Sc (0.690, 0.438, 0.749)
Sc (0.690, 0.941, 0.251)
Sc (0.767, 0.103, 0.664)
Sc (0.831, 0.831, 0.000)
Sc (0.897, 0.233, 0.336)
Sc (0.897, 0.561, 0.664)
Sc (0.941, 0.690, 0.251)
Al (0.127, 0.127, 0.254)
Al (0.127, 0.873, 0.000)
Al (0.873, 0.127, 0.000)
Al (0.873, 0.873, 0.746)
Ge (0.033, 0.033, 0.408)
Ge (0.033, 0.626, 0.000)
Ge (0.147, 0.500, 0.647)
Ge (0.250, 0.750, 0.500)
Ge (0.374, 0.374, 0.408)
Ge (0.374, 0.967, 0.000)
Ge (0.382, 0.382, 0.000)
Ge (0.500, 0.147, 0.647)
Ge (0.500, 0.853, 0.353)
Ge (0.618, 0.618, 0.000)
Ge (0.626, 0.033, 0.000)
Ge (0.626, 0.626, 0.592)
Ge (0.750, 0.250, 0.500)
Ge (0.853, 0.500, 0.353)
Ge (0.967, 0.374, 0.000)
Ge (0.967, 0.967, 0.592)

Question: Look up the ΔH_f (0 K) of the third one.
Answer: -0.207 eV per atom

Question: Which of these has the highest ΔH_f (0 K)?
Answer: KMg14C

Question: The highest final energy belongs to which entry?
Answer: KMg14C

Question: Which formula does entry 7 have?
Answer: HoAl3Ni2